Here is a geometry-optimized K6Ba2CaU6O24 structure from the Materials Project database. Energies are from PBE.

Cell lengths 7.556, 7.556, 24.683 Å; angles 90.00, 90.00, 109.48 degrees
Fractional coordinates of all 78 atoms:
O 0.387 0.613 0.944
O 0.621 0.379 0.435
U 0.500 0.500 0.500
O 0.397 0.603 0.305
O 0.604 0.396 0.557
O 0.976 0.476 0.875
O 0.250 0.250 0.748
K 0.250 0.250 0.876
Ba 0.750 0.750 0.626
U 0.500 0.500 0.752
O 0.613 0.387 0.056
Ca 0.750 0.250 0.125
O 0.618 0.382 0.314
K 0.000 0.500 0.500
O 0.386 0.614 0.808
O 0.032 0.532 0.625
K 0.750 0.750 0.876
O 0.873 0.127 0.814
O 0.376 0.624 0.062
U 0.750 0.250 0.876
Ba 0.250 0.250 0.374
U 0.000 0.000 0.500
U 0.500 0.500 0.000
U 0.250 0.750 0.124
U 0.500 0.500 0.248
O 0.373 0.627 0.186
O 0.114 0.886 0.808
O 0.968 0.468 0.375
O 0.886 0.114 0.192
K 0.995 0.495 0.749
O 0.750 0.750 0.252
O 0.382 0.618 0.686
O 0.882 0.118 0.314
O 0.876 0.124 0.938
O 0.121 0.879 0.565
K 0.750 0.750 0.124
O 0.104 0.896 0.443
K 0.000 0.500 0.000
O 0.750 0.750 0.000
O 0.124 0.876 0.062
O 0.897 0.103 0.695
O 0.614 0.386 0.192
O 0.896 0.104 0.557
O 0.379 0.621 0.565
K 0.500 0.000 0.500
U 0.000 0.000 0.000
O 0.750 0.750 0.500
O 0.879 0.121 0.435
O 0.113 0.887 0.944
Ba 0.750 0.750 0.374
O 0.624 0.376 0.938
O 0.887 0.113 0.056
O 0.103 0.897 0.305
K 0.005 0.505 0.251
O 0.250 0.250 0.252
U 0.250 0.750 0.626
O 0.250 0.250 0.000
U 0.750 0.250 0.374
O 0.532 0.032 0.375
O 0.524 0.024 0.875
K 0.500 0.000 0.000
U 0.000 0.000 0.248
K 0.505 0.005 0.749
K 0.495 0.995 0.251
O 0.396 0.604 0.443
O 0.476 0.976 0.125
O 0.603 0.397 0.695
O 0.024 0.524 0.125
O 0.250 0.250 0.500
Ca 0.250 0.750 0.875
O 0.468 0.968 0.625
O 0.118 0.882 0.686
O 0.127 0.873 0.186
O 0.627 0.373 0.814
Ba 0.250 0.250 0.626
K 0.250 0.250 0.124
U 0.000 0.000 0.752
O 0.750 0.750 0.748

- Density: 5.90 g/cm3
- Energy with MP2020 corrections: -8.44 eV/atom
- Space-group type: Cmme, No. 67
- Volume: 17.0 A^3/atom
- E_form: -76.96 kcal/mol of atoms